(1)
VASP calculation (PBE) on a relaxed SrHfS3 crystal.

Cell lengths 7.1141, 9.7782, 6.7838 Å; angles 90.00, 90.00, 90.00 degrees
Space group Pnma (No. 62)
Inequivalent atoms, fractional coordinates:
Sr  0.0736  0.2500  0.0226
Hf  0.0000  0.0000  0.5000
S  0.0201  0.7500  0.4066
S  0.2013  0.5480  0.8022

As for the formation enthalpy at 0 K: -2.113 eV per atom. The value obtained for the calculated volume is 471.9 Å³/cell. The total energy comes out at -0.2434 Ha/atom. The calculation puts the mass density at 5.10 g/cm3.

***

(2)
VASP calculation (PBE) on a relaxed Ba3InRu2O9 crystal.

Cell lengths 5.9130, 5.9130, 14.4506 Å; angles 90.00, 90.00, 120.00 degrees
Space group P6_3/mmc (No. 194)
Inequivalent atoms, fractional coordinates:
Ba  0.0000  0.0000  0.2500
Ba  0.3333  0.6667  0.0890
In  0.0000  0.0000  0.0000
Ru  0.3333  0.6667  0.6635
O  0.0214  0.5107  0.7500
O  0.1733  0.3465  0.5859

As for the formation enthalpy at 0 K: -2.262 eV per atom. The value obtained for the calculated volume is 437.6 Å³/cell. The calculation puts the total magnetization at 3.0 μB per formula unit. The total energy comes out at -0.2434 Ha/atom. The calculation puts the mass density at 6.63 g/cm3.

***

(3)
VASP calculation (PBE) on a relaxed Cs2TaCl6 crystal.

Cell lengths 10.6939, 10.6939, 10.6939 Å; angles 90.00, 90.00, 90.00 degrees
Space group Fm-3m (No. 225)
Inequivalent atoms, fractional coordinates:
Cs  0.2500  0.2500  0.2500
Ta  0.0000  0.0000  0.0000
Cl  0.0000  0.0000  0.2268

As for the formation enthalpy at 0 K: -2.069 eV per atom. The value obtained for the calculated volume is 1222.9 Å³/cell. The total energy comes out at -0.1620 Ha/atom. The calculation puts the mass density at 3.58 g/cm3.

***

(4)
VASP calculation (PBE) on a relaxed Sc5Re2C7 crystal.

Cell lengths 7.8124, 13.7175, 3.2192 Å; angles 90.00, 90.00, 90.00 degrees
Space group Cmmm (No. 65)
Inequivalent atoms, fractional coordinates:
Sc  0.0000  0.0000  0.0000
Sc  0.2109  0.3723  0.5000
Re  0.0000  0.2153  0.0000
C  0.0000  0.1188  0.5000
C  0.0000  0.5000  0.0000
C  0.1735  0.5000  0.0000
C  0.2500  0.2500  0.0000

As for the formation enthalpy at 0 K: -0.484 eV per atom. The value obtained for the calculated volume is 345.0 Å³/cell. The total energy comes out at -0.3358 Ha/atom. The calculation puts the mass density at 6.56 g/cm3.

***

(5)
VASP calculation (PBE) on a relaxed Li17Pb4 crystal.

Cell lengths 19.9481, 19.9481, 19.9481 Å; angles 90.00, 90.00, 90.00 degrees
Space group F-43m (No. 216)
Inequivalent atoms, fractional coordinates:
Li  0.0000  0.0000  0.0000
Li  0.0000  0.0000  0.1721
Li  0.0074  0.1632  0.1632
Li  0.0196  0.1540  0.6540
Li  0.0555  0.0555  0.5555
Li  0.0746  0.0746  0.0746
Li  0.0757  0.2500  0.2500
Li  0.0836  0.0836  0.4164
Li  0.0900  0.0900  0.7611
Li  0.0935  0.0935  0.2669
Li  0.1716  0.1716  0.8284
Li  0.1838  0.1838  0.6838
Li  0.1968  0.1968  0.3032
Pb  0.0000  0.0000  0.3207
Pb  0.0708  0.2500  0.7500
Pb  0.0835  0.0835  0.9165
Pb  0.1599  0.1599  0.1599

As for the formation enthalpy at 0 K: -0.287 eV per atom. The value obtained for the calculated volume is 7937.9 Å³/cell. The calculation puts the total magnetization at 0.0 μB per formula unit. The total energy comes out at -0.0933 Ha/atom. The calculation puts the mass density at 3.96 g/cm3.

***

(6)
VASP calculation (PBE) on a relaxed Zn10FeB8Rh18 crystal.

Cell lengths 17.8958, 17.8958, 2.8772 Å; angles 90.00, 90.00, 90.00 degrees
Space group P4/mbm (No. 127)
Inequivalent atoms, fractional coordinates:
Zn  0.0319  0.1878  0.0000
Zn  0.0503  0.4497  0.0000
Zn  0.1690  0.3310  0.0000
Zn  0.2091  0.7091  0.0000
Fe  0.0000  0.0000  0.0000
B  0.0386  0.6663  0.0000
B  0.1244  0.8338  0.0000
Rh  0.0479  0.3261  0.5000
Rh  0.0669  0.9021  0.5000
Rh  0.0823  0.5823  0.5000
Rh  0.0874  0.7450  0.5000
Rh  0.1605  0.2108  0.5000

As for the formation enthalpy at 0 K: -0.398 eV per atom. The value obtained for the calculated volume is 921.5 Å³/cell. The calculation puts the total magnetization at 4.4 μB per formula unit. The total energy comes out at -0.2203 Ha/atom. The calculation puts the mass density at 9.55 g/cm3.

***

(7)
VASP calculation (PBE) on a relaxed U2SiH4O10 crystal.

Cell lengths 8.1144, 11.5014, 18.9462 Å; angles 90.00, 90.00, 90.00 degrees
Space group Fddd (No. 70, origin choice 2)
Inequivalent atoms, fractional coordinates:
U  0.1250  0.1250  0.2936
Si  0.1250  0.1250  0.1250
H  0.0347  0.0932  0.4486
O  0.0227  0.0442  0.0679
O  0.0667  0.2921  0.5445
O  0.1250  0.1250  0.4195

As for the formation enthalpy at 0 K: -2.686 eV per atom. The value obtained for the calculated volume is 1768.2 Å³/cell. The calculation puts the total magnetization at 0.0 μB per formula unit. The total energy comes out at -0.2807 Ha/atom. The calculation puts the mass density at 5.02 g/cm3.

***

(8)
VASP calculation (PBE) on a relaxed Na2GeS3O7 crystal.

Cell lengths 6.7849, 8.4851, 8.9814 Å; angles 105.57, 97.93, 101.74 degrees
Space group P-1 (No. 2)
Inequivalent atoms, fractional coordinates:
Na  0.0410  0.4398  0.1807
Na  0.2991  0.3441  0.4815
Ge  0.3475  0.9511  0.8421
S  0.2283  0.9041  0.5169
S  0.2734  0.0226  0.1196
S  0.3606  0.3782  0.8931
O  0.0088  0.8110  0.4680
O  0.1647  0.4069  0.9387
O  0.2376  0.7469  0.8204
O  0.2426  0.1905  0.2169
O  0.2572  0.5915  0.4310
O  0.3696  0.7582  0.4749
O  0.3987  0.4200  0.7491

As for the formation enthalpy at 0 K: -0.964 eV per atom. The value obtained for the calculated volume is 477.4 Å³/cell. The calculation puts the total magnetization at 1.0 μB per formula unit. The total energy comes out at -0.1858 Ha/atom. The calculation puts the mass density at 2.27 g/cm3.

***

(9)
VASP calculation (PBE) on a relaxed Nd2Ir2O7 crystal.

Cell lengths 10.4691, 10.4691, 10.4691 Å; angles 90.00, 90.00, 90.00 degrees
Space group Fd-3m (No. 227, origin choice 2)
Inequivalent atoms, fractional coordinates:
Nd  0.0000  0.0000  0.0000
Ir  0.0000  0.0000  0.5000
O  0.0822  0.3750  0.8750
O  0.1250  0.1250  0.1250

As for the formation enthalpy at 0 K: -2.432 eV per atom. The value obtained for the calculated volume is 1147.4 Å³/cell. The total energy comes out at -0.2799 Ha/atom. The calculation puts the mass density at 9.09 g/cm3.

***

(10)
VASP calculation (PBE) on a relaxed Ta3V7Si6 crystal.

Cell lengths 7.2994, 7.2994, 4.8949 Å; angles 90.00, 90.00, 120.00 degrees
Space group P-62m (No. 189)
Inequivalent atoms, fractional coordinates:
Ta  0.0000  0.2291  0.0000
V  0.0000  0.7363  0.5000
V  0.3333  0.6667  0.2534
Si  0.0000  0.3897  0.5000
Si  0.0000  0.5916  0.0000

As for the formation enthalpy at 0 K: -0.549 eV per atom. The value obtained for the calculated volume is 225.9 Å³/cell. The calculation puts the total magnetization at 0.3 μB per formula unit. The total energy comes out at -0.3237 Ha/atom. The calculation puts the mass density at 7.85 g/cm3.